<A>
# Sr3Ca5Mn8O24 PBE+U relaxed
# Magnetic moment (μB/f.u.): 24.63
# Crystal system: tetragonal
data_Sr3Ca5Mn8O24
_chemical_formula_sum 'Sr3 Ca5 Mn8 O24'
_cell_length_a 7.6673
_cell_length_b 7.6673
_cell_length_c 7.6674
_cell_angle_alpha 90.00
_cell_angle_beta 90.00
_cell_angle_gamma 90.00
_symmetry_space_group_name_H-M 'P 4/m m m'
_symmetry_Int_Tables_number 123
_symmetry_space_group_name_Hall '-P 4 2'
loop_
_atom_site_label
_atom_site_type_symbol
_atom_site_fract_x
_atom_site_fract_y
_atom_site_fract_z
Sr1 Sr 0.0000 0.0000 0.0000
Sr2 Sr 0.0000 0.5000 0.0000
Ca1 Ca 0.0000 0.0000 0.5000
Ca2 Ca 0.0000 0.5000 0.5000
Ca3 Ca 0.5000 0.5000 0.0000
Ca4 Ca 0.5000 0.5000 0.5000
Mn1 Mn 0.2504 0.2504 0.2513
O1 O 0.0000 0.2502 0.2543
O2 O 0.2501 0.2501 0.5000
O3 O 0.2521 0.2521 0.0000
O4 O 0.2520 0.5000 0.2523

---

<B>
# Sr3Ca5Mn8O24 PBE+U relaxed
# Magnetic moment (μB/f.u.): 24.00
# Crystal system: triclinic
data_Sr3Ca5Mn8O24
_chemical_formula_sum 'Sr12 Ca20 Mn32 O96'
_cell_length_a 10.7908
_cell_length_b 10.8923
_cell_length_c 15.3064
_cell_angle_alpha 89.99
_cell_angle_beta 89.99
_cell_angle_gamma 89.96
_symmetry_space_group_name_H-M 'P -1'
_symmetry_Int_Tables_number 2
loop_
_symmetry_equiv_pos_as_xyz
'x,y,z'
'-x,-y,-z'
loop_
_atom_site_label
_atom_site_type_symbol
_atom_site_fract_x
_atom_site_fract_y
_atom_site_fract_z
Sr1 Sr 0.0032 0.4823 0.1245
Sr2 Sr 0.0043 0.4821 0.6255
Sr3 Sr 0.2469 0.7348 0.6253
Sr4 Sr 0.2475 0.7340 0.1247
Sr5 Sr 0.2532 0.2652 0.3748
Sr6 Sr 0.4958 0.5179 0.3745
Ca1 Ca 0.0031 0.9796 0.1250
Ca2 Ca 0.0035 0.9800 0.6250
Ca3 Ca 0.2456 0.2271 0.6253
Ca4 Ca 0.2462 0.2277 0.1247
Ca5 Ca 0.2541 0.7728 0.3748
Ca6 Ca 0.2544 0.7733 0.8752
Ca7 Ca 0.2553 0.2719 0.8751
Ca8 Ca 0.4945 0.5237 0.8753
Ca9 Ca 0.4952 0.0217 0.8750
Ca10 Ca 0.4962 0.0202 0.3750
Mn1 Mn 0.0010 0.2471 0.0008
Mn2 Mn 0.0011 0.2470 0.7494
Mn3 Mn 0.0008 0.7528 0.4984
Mn4 Mn 0.0009 0.7528 0.7518
Mn5 Mn 0.2503 0.9998 0.2496
Mn6 Mn 0.2501 0.0001 0.5002
Mn7 Mn 0.2498 0.0014 0.9994
Mn8 Mn 0.2496 0.0016 0.7510
Mn9 Mn 0.2501 0.4999 0.5000
Mn10 Mn 0.2512 0.4994 0.7514
Mn11 Mn 0.2516 0.5003 0.2492
Mn12 Mn 0.2531 0.4997 0.9994
Mn13 Mn 0.4985 0.2489 0.7503
Mn14 Mn 0.4985 0.2496 0.0002
Mn15 Mn 0.4990 0.2474 0.5018
Mn16 Mn 0.4989 0.2480 0.2477
O1 O 0.0272 0.2391 0.3750
O2 O 0.0370 0.2394 0.8750
O3 O 0.0382 0.7483 0.8753
O4 O 0.0380 0.7485 0.3747
O5 O 0.1047 0.1042 0.0206
O6 O 0.1047 0.1042 0.7294
O7 O 0.1054 0.1051 0.2301
O8 O 0.1055 0.1051 0.5199
O9 O 0.1078 0.6092 0.2346
O10 O 0.1076 0.6091 0.5143
O11 O 0.1084 0.6089 0.7363
O12 O 0.1086 0.6090 0.0147
O13 O 0.1418 0.8604 0.0163
O14 O 0.1417 0.8605 0.2336
O15 O 0.1425 0.8608 0.5156
O16 O 0.1426 0.8608 0.7346
O17 O 0.1446 0.3530 0.5186
O18 O 0.1452 0.3536 0.2310
O19 O 0.1474 0.3516 0.7331
O20 O 0.1480 0.3522 0.0173
O21 O 0.2120 0.9911 0.8752
O22 O 0.2128 0.9928 0.3749
O23 O 0.2208 0.4879 0.8752
O24 O 0.2222 0.4953 0.3748
O25 O 0.2785 0.5036 0.6258
O26 O 0.2883 0.0083 0.1243
O27 O 0.2878 0.0080 0.6257
O28 O 0.2883 0.5037 0.1241
O29 O 0.3523 0.1449 0.7701
O30 O 0.3525 0.1455 0.9804
O31 O 0.3551 0.6475 0.2690
O32 O 0.3564 0.6450 0.9784
O33 O 0.3555 0.6470 0.4815
O34 O 0.3568 0.6445 0.7710
O35 O 0.3576 0.1392 0.4845
O36 O 0.3578 0.1398 0.2649
O37 O 0.3926 0.3909 0.4856
O38 O 0.3944 0.3927 0.2628
O39 O 0.3945 0.8948 0.4802
O40 O 0.3949 0.8951 0.7702
O41 O 0.3963 0.3940 0.7710
O42 O 0.3956 0.8948 0.2695
O43 O 0.3960 0.8951 0.9802
O44 O 0.3982 0.3957 0.9804
O45 O 0.4605 0.2516 0.6262
O46 O 0.4609 0.2591 0.1237
O47 O 0.4706 0.7617 0.1247
O48 O 0.4730 0.7605 0.6253

---

It is <B> that is the most stable of them.

---

<A>
# Sr3Ca5Mn8O22 PBE+U relaxed
# Magnetic moment (μB/f.u.): 28.00
# Crystal system: triclinic
data_Sr3Ca5Mn8O22
_chemical_formula_sum 'Sr12 Ca20 Mn32 O88'
_cell_length_a 10.9031
_cell_length_b 10.9318
_cell_length_c 15.7066
_cell_angle_alpha 89.65
_cell_angle_beta 89.98
_cell_angle_gamma 89.14
_symmetry_space_group_name_H-M 'P 1'
_symmetry_Int_Tables_number 1
loop_
_symmetry_equiv_pos_as_xyz
'x,y,z'
loop_
_atom_site_label
_atom_site_type_symbol
_atom_site_fract_x
_atom_site_fract_y
_atom_site_fract_z
Sr1 Sr 0.0000 0.0000 0.0000
Sr2 Sr 0.0011 0.0000 0.5251
Sr3 Sr 0.0038 0.5010 0.2723
Sr4 Sr 0.2471 0.7399 0.9990
Sr5 Sr 0.2546 0.7318 0.2730
Sr6 Sr 0.4995 0.9989 0.0003
Sr7 Sr 0.5035 0.5010 0.2726
Sr8 Sr 0.5045 0.5083 0.7610
Sr9 Sr 0.7458 0.7403 0.9986
Sr10 Sr 0.7478 0.7618 0.7592
Sr11 Sr 0.7501 0.7343 0.5166
Sr12 Sr 0.7575 0.7329 0.2742
Ca1 Ca 0.0034 0.4657 0.0004
Ca2 Ca 0.0037 0.0218 0.7627
Ca3 Ca 0.0062 0.5152 0.7610
Ca4 Ca 0.0160 0.0409 0.2611
Ca5 Ca 0.2428 0.7705 0.7593
Ca6 Ca 0.2474 0.2690 0.7623
Ca7 Ca 0.2504 0.2474 0.9945
Ca8 Ca 0.2495 0.2786 0.2708
Ca9 Ca 0.2507 0.2463 0.5281
Ca10 Ca 0.2521 0.7235 0.5177
Ca11 Ca 0.4956 0.4726 0.5166
Ca12 Ca 0.5000 0.9964 0.5320
Ca13 Ca 0.5049 0.0200 0.7628
Ca14 Ca 0.5063 0.4662 0.9998
Ca15 Ca 0.5163 0.0396 0.2609
Ca16 Ca 0.7473 0.2507 0.5286
Ca17 Ca 0.7475 0.2484 0.9938
Ca18 Ca 0.7495 0.2642 0.7621
Ca19 Ca 0.7521 0.2779 0.2711
Ca20 Ca 0.9931 0.4746 0.5166
Mn1 Mn 0.0004 0.2502 0.8828
Mn2 Mn 0.0000 0.7497 0.8809
Mn3 Mn 0.0011 0.2529 0.6409
Mn4 Mn 0.0021 0.7512 0.6373
Mn5 Mn 0.0056 0.2485 0.3897
Mn6 Mn 0.0380 0.7634 0.1471
Mn7 Mn 0.2425 0.4858 0.1317
Mn8 Mn 0.2436 0.0277 0.1293
Mn9 Mn 0.2482 0.4915 0.3979
Mn10 Mn 0.2500 0.0012 0.6425
Mn11 Mn 0.2498 0.5022 0.6394
Mn12 Mn 0.2519 0.0004 0.8809
Mn13 Mn 0.2525 0.5020 0.8848
Mn14 Mn 0.2704 0.0114 0.4047
Mn15 Mn 0.4885 0.7441 0.3937
Mn16 Mn 0.4942 0.7508 0.6359
Mn17 Mn 0.4955 0.2521 0.1377
Mn18 Mn 0.4964 0.7489 0.8800
Mn19 Mn 0.4999 0.2483 0.8834
Mn20 Mn 0.5007 0.2493 0.6403
Mn21 Mn 0.5055 0.2445 0.3903
Mn22 Mn 0.5379 0.7640 0.1489
Mn23 Mn 0.7424 0.4858 0.1330
Mn24 Mn 0.7441 0.0285 0.1298
Mn25 Mn 0.7479 0.4929 0.3962
Mn26 Mn 0.7487 0.0022 0.6420
Mn27 Mn 0.7515 0.0004 0.8816
Mn28 Mn 0.7522 0.5007 0.6389
Mn29 Mn 0.7558 0.5002 0.8855
Mn30 Mn 0.7664 0.0148 0.4038
Mn31 Mn 0.9946 0.7423 0.3936
Mn32 Mn 0.9965 0.2530 0.1370
O1 O 0.0002 0.7695 0.0331
O2 O 0.0344 0.2424 0.0120
O3 O 0.0361 0.2481 0.5145
O4 O 0.0381 0.7736 0.5081
O5 O 0.0862 0.3997 0.1439
O6 O 0.1076 0.8984 0.6599
O7 O 0.1094 0.3922 0.8721
O8 O 0.1092 0.3935 0.6574
O9 O 0.1109 0.8929 0.8705
O10 O 0.1146 0.3806 0.3748
O11 O 0.1353 0.6379 0.3799
O12 O 0.1424 0.1420 0.8668
O13 O 0.1416 0.9058 0.1754
O14 O 0.1429 0.1444 0.6607
O15 O 0.1474 0.6461 0.8707
O16 O 0.1481 0.1561 0.1706
O17 O 0.1507 0.6494 0.6509
O18 O 0.1555 0.1238 0.3601
O19 O 0.1701 0.6484 0.1417
O20 O 0.2102 0.4980 0.5181
O21 O 0.2198 0.5027 0.0086
O22 O 0.2243 0.0208 0.5194
O23 O 0.2344 0.0011 0.0090
O24 O 0.2761 0.4946 0.2557
O25 O 0.2782 0.4929 0.7631
O26 O 0.2900 0.9900 0.7610
O27 O 0.3365 0.8533 0.3950
O28 O 0.3511 0.3485 0.1112
O29 O 0.3524 0.8585 0.6165
O30 O 0.3577 0.3460 0.4104
O31 O 0.3610 0.8612 0.8968
O32 O 0.3628 0.3624 0.6212
O33 O 0.3645 0.3621 0.9035
O34 O 0.3822 0.5991 0.4078
O35 O 0.3860 0.1159 0.8970
O36 O 0.3908 0.1118 0.6259
O37 O 0.3934 0.6083 0.6119
O38 O 0.3949 0.6070 0.9079
O39 O 0.4031 0.0852 0.1376
O40 O 0.4228 0.0876 0.3942
O41 O 0.4628 0.2519 0.2636
O42 O 0.4632 0.7416 0.7556
O43 O 0.4666 0.2496 0.7623
O44 O 0.4802 0.7546 0.2625
O45 O 0.4978 0.7699 0.0357
O46 O 0.5269 0.7828 0.5067
O47 O 0.5315 0.2409 0.0134
O48 O 0.5343 0.2452 0.5142
O49 O 0.5862 0.3987 0.1445
O50 O 0.6035 0.8978 0.6558
O51 O 0.6104 0.8907 0.8726
O52 O 0.6132 0.3800 0.3750
O53 O 0.6165 0.3850 0.8778
O54 O 0.6168 0.3847 0.6528
O55 O 0.6325 0.6406 0.3797
O56 O 0.6407 0.1394 0.8677
O57 O 0.6408 0.1418 0.6613
O58 O 0.6409 0.6414 0.6482
O59 O 0.6414 0.6405 0.8748
O60 O 0.6439 0.9055 0.1765
O61 O 0.6478 0.1558 0.1710
O62 O 0.6544 0.1275 0.3583
O63 O 0.6689 0.6484 0.1437
O64 O 0.7137 0.0131 0.5175
O65 O 0.7141 0.4943 0.5159
O66 O 0.7246 0.5048 0.0107
O67 O 0.7348 0.0005 0.0097
O68 O 0.7754 0.4944 0.2570
O69 O 0.7851 0.4942 0.7635
O70 O 0.7877 0.9966 0.7610
O71 O 0.8497 0.8622 0.3917
O72 O 0.8510 0.3477 0.1117
O73 O 0.8584 0.3498 0.4096
O74 O 0.8598 0.8632 0.6215
O75 O 0.8633 0.8621 0.8962
O76 O 0.8654 0.3615 0.9052
O77 O 0.8650 0.3638 0.6194
O78 O 0.8820 0.6015 0.4048
O79 O 0.8839 0.1183 0.6246
O80 O 0.8855 0.1172 0.8976
O81 O 0.8974 0.6080 0.9058
O82 O 0.8979 0.6086 0.6172
O83 O 0.9037 0.0864 0.1375
O84 O 0.9141 0.0991 0.3888
O85 O 0.9657 0.2474 0.7625
O86 O 0.9664 0.2555 0.2622
O87 O 0.9763 0.7361 0.7572
O88 O 0.9837 0.7498 0.2614

---

<B>
# Sr3Ca5Mn8O22 PBE+U relaxed
# Magnetic moment (μB/f.u.): 28.00
# Crystal system: monoclinic
data_Sr3Ca5Mn8O22
_chemical_formula_sum 'Sr3 Ca5 Mn8 O22'
_cell_length_a 7.7146
_cell_length_b 7.7255
_cell_length_c 7.7210
_cell_angle_alpha 90.00
_cell_angle_beta 90.05
_cell_angle_gamma 90.00
_symmetry_space_group_name_H-M 'P 1 2/m 1'
_symmetry_Int_Tables_number 10
loop_
_symmetry_equiv_pos_as_xyz
'x,y,z'
'-x,-y,-z'
'-x,y,-z'
'x,-y,z'
loop_
_atom_site_label
_atom_site_type_symbol
_atom_site_fract_x
_atom_site_fract_y
_atom_site_fract_z
Sr1 Sr 0.0000 0.0000 0.0000
Sr2 Sr 0.0000 0.0000 0.5000
Sr3 Sr 0.0000 0.5000 0.0000
Ca1 Ca 0.0000 0.5000 0.5000
Ca2 Ca 0.5000 0.0000 0.0000
Ca3 Ca 0.5000 0.0000 0.5000
Ca4 Ca 0.5000 0.5000 0.0000
Ca5 Ca 0.5000 0.5000 0.5000
Mn1 Mn 0.2522 0.2593 0.7492
Mn2 Mn 0.2531 0.2440 0.2508
O1 O 0.0044 0.2371 0.7481
O2 O 0.2534 0.0000 0.2506
O3 O 0.2558 0.2320 0.5047
O4 O 0.2568 0.2314 0.9949
O5 O 0.2573 0.5000 0.2535
O6 O 0.2567 0.5000 0.7464
O7 O 0.4946 0.2259 0.7494

---

It is <A> that is the most stable of them.